VASP calculation (PBE) on an optimized crystal structure of CaLaMg14.

Cell: 10.5639 6.6259 11.5479 Å, 90.00 90.00 90.00°
Space group Amm2 (No. 38)
Symmetry-distinct sites (fractional):
Ca (0.0000, 0.0000, 0.0000) x2
La (0.0000, 0.0000, 0.4999) x2
Mg (0.0000, 0.2458, 0.7543) x4
Mg (0.2524, 0.0000, 0.1722) x4
Mg (0.2556, 0.0000, 0.6724) x4
Mg (0.2622, 0.2494, 0.9168) x8
Mg (0.5000, 0.0000, 0.0037) x2
Mg (0.5000, 0.0000, 0.5036) x2
Mg (0.5000, 0.2498, 0.2522) x4

Output
Total moment, μB per formula unit: 0.0
Formation enthalpy at 0 K, eV per atom: 0.02
Theoretical density, g/cm³: 2.133